DFT (PBE with a Hubbard U) results for a geometry-optimized Li7Ni12O24 structure.

```
43
Lattice="6.3740 -4.2525 0.0000 6.3740 4.2525 0.0000 -6.2604 0.0000 7.4695" Properties=species:S:1:pos:R:3 pbc="T T T"
Li 0.0000 0.0000 0.0000
Li 1.6056 1.6695 1.8280
Li -1.3405 0.3517 5.7125
Li 3.2438 0.3207 3.7347
Li 4.8820 1.6695 5.6415
Li 7.8281 0.3517 1.7569
Li 3.2438 -2.5906 3.7347
Ni 3.9886 3.0576 0.9502
Ni -0.7891 0.2812 2.8073
Ni 0.8803 1.7115 4.6352
Ni 2.4990 3.0576 6.5192
Ni 3.9701 0.2304 0.9216
Ni 5.6073 1.7115 2.8342
Ni 0.8951 -1.1400 4.6398
Ni 2.5175 0.2304 6.5479
Ni 4.0153 -2.5951 0.9601
Ni 5.5925 -1.1400 2.8297
Ni 7.2767 0.2812 4.6622
Ni 2.4723 -2.5951 6.5094
O -3.6600 0.3633 5.1966
O 0.7233 3.1090 5.9084
O -2.1179 1.5453 7.0465
O 2.0539 0.2959 0.2592
O 5.7643 3.1090 1.5611
O 3.6236 1.5894 2.1537
O 1.0506 0.4004 3.2883
O -0.9475 -1.0984 4.1114
O 2.8641 1.5894 5.3157
O 0.6407 0.2766 5.8488
O -2.0734 -1.2006 7.1276
O 8.6055 1.5453 0.4230
O 5.8469 0.2766 1.6207
O 3.7772 -1.1713 2.2287
O 1.2091 -2.5951 3.4507
O 5.4370 0.4004 4.1811
O 2.7104 -1.1713 5.2408
O 0.6572 -2.6874 5.9840
O 4.4337 0.2959 7.2103
O 8.5610 -1.2006 0.3418
O 5.8304 -2.6874 1.4855
O 10.1476 0.3633 2.2728
O 7.4351 -1.0984 3.3581
O 5.2785 -2.5951 4.0188
```

Computed properties:
Energy of formation from the pure elements = -1.230 eV/atom
Symmetry = No. 5
Total DFT energy (no corrections) = -207.374 eV/cell

DFT (PBE with a Hubbard U) results for a geometry-optimized MgFe6O6F6 structure.

```
19
Lattice="5.1580 0.0000 0.0000 -0.1321 5.5088 0.0000 -0.0300 -0.0072 8.7092" Properties=species:S:1:pos:R:3 pbc="T T T"
Mg 0.0000 0.0000 0.0000
Fe 0.2076 2.6107 7.1897
Fe 0.2740 2.5400 1.6737
Fe 2.1243 5.2916 2.9348
Fe 2.1290 5.3177 5.9517
Fe 2.6225 1.2561 0.1090
Fe 4.7197 3.5099 4.4480
O 0.8546 3.8334 2.9696
O 0.8717 3.8848 5.8358
O 1.3174 0.9381 1.6031
O 1.3663 0.8378 7.3559
O 3.3039 4.7928 4.4058
O 4.4038 1.9454 0.1167
F 0.9465 3.8698 0.2342
F 1.4412 0.8507 4.4187
F 3.5095 5.0884 1.4513
F 3.6171 4.9232 7.3146
F 3.9823 2.1463 5.6767
F 3.9951 2.2222 2.9685
```

Computed properties:
Energy of formation from the pure elements = -2.109 eV/atom
Symmetry = No. 1
Total DFT energy (no corrections) = -113.231 eV/cell
Excess energy over the best structure of this formula in the dataset = 0.035 eV per atom

no.,spin magnetization (μB per atom)
1,0.16
2,1.47